KGaSe4O12 | PBE | optimized geometry

Output
Its space-group type is Amm2 (38). The energy of formation from the pure elements comes out at -16.5 eV/f.u. As for the MP2020-corrected energy: -5.221 eV per atom. As for the total energy: -4.763 eV per atom.

a b c (Å): 5.2942 5.2942 7.6286
angles (deg): 90.00 90.00 87.97
Positions (direct):
O 0.9351 0.4743 0.5000
O 0.6747 0.3253 0.1778
O 0.1913 0.1970 0.2295
O 0.3182 0.6818 0.7082
O 0.1913 0.1970 0.7705
O 0.3182 0.6818 0.2918
O 0.6747 0.3253 0.8222
O 0.8030 0.8087 0.2295
O 0.1087 0.5390 0.0000
O 0.4610 0.8913 0.0000
O 0.8030 0.8087 0.7705
O 0.5257 0.0649 0.5000
K 0.0168 0.9832 0.5000
Se 0.0082 0.5019 0.2522
Se 0.4981 0.9918 0.7478
Se 0.0082 0.5019 0.7478
Se 0.4981 0.9918 0.2522
Ga 0.4807 0.5193 0.0000

Na4ZnSiGeP2O12 | PBE | optimized geometry

Output
Its space-group type is Cc (9). The energy of formation from the pure elements comes out at -51.5 eV/f.u. As for the MP2020-corrected energy: -6.586 eV per atom. As for the total energy: -6.193 eV per atom.

a b c (Å): 8.9563 8.9409 21.6717
angles (deg): 90.28 90.00 120.06
Positions (direct):
O 0.4685 0.3215 0.7452
O 0.2992 0.8095 0.2558
O 0.1374 0.4854 0.5771
O 0.4760 0.3580 0.1425
O 0.8491 0.0373 0.0890
O 0.8234 0.5334 0.0231
O 0.8206 0.9950 0.4115
O 0.1231 0.6240 0.3591
O 0.3715 0.5007 0.3585
O 0.3805 0.8772 0.8574
O 0.0441 0.8309 0.6927
O 0.7085 0.1631 0.0261
O 0.5526 0.8527 0.4796
O 0.6743 0.1595 0.7454
O 0.0393 0.2059 0.1919
O 0.5111 0.3708 0.4204
O 0.9718 0.1576 0.5878
O 0.3001 0.8527 0.9796
O 0.1858 0.1576 0.0878
O 0.6384 0.1166 0.1420
O 0.4852 0.1595 0.2454
O 0.1665 0.2059 0.6919
O 0.5404 0.6864 0.9758
O 0.1618 0.9553 0.1903
O 0.8106 0.7879 0.3090
O 0.2138 0.0323 0.3128
O 0.8186 0.0323 0.8128
O 0.8017 0.8155 0.9125
O 0.8362 0.2902 0.5260
O 0.1744 0.9950 0.9115
O 0.1492 0.4546 0.9751
O 0.1841 0.1975 0.4117
O 0.2119 0.1868 0.8086
O 0.5231 0.8591 0.0777
O 0.2950 0.4758 0.7548
O 0.8820 0.3580 0.6425
O 0.3360 0.8591 0.5777
O 0.4782 0.1166 0.6420
O 0.8508 0.5288 0.7450
O 0.1460 0.6864 0.4758
O 0.4545 0.1631 0.5261
O 0.8530 0.3215 0.2452
O 0.0134 0.1975 0.9117
O 0.9773 0.7879 0.8090
O 0.6367 0.1611 0.4246
O 0.7100 0.5334 0.5231
O 0.9637 0.8204 0.0885
O 0.4967 0.8772 0.3574
O 0.5059 0.6529 0.5808
O 0.5194 0.6966 0.2547
O 0.8733 0.5120 0.1459
O 0.1772 0.6966 0.7547
O 0.5103 0.8095 0.7558
O 0.0138 0.8155 0.4125
O 0.8567 0.8204 0.5885
O 0.3480 0.4854 0.0771
O 0.4541 0.2902 0.0260
O 0.6781 0.5288 0.2450
O 0.7935 0.9553 0.6903
O 0.9749 0.1868 0.3086
O 0.6317 0.4877 0.9204
O 0.1292 0.5007 0.8585
O 0.5244 0.1611 0.9246
O 0.8560 0.4877 0.4204
O 0.1470 0.6529 0.0808
O 0.3054 0.4546 0.4751
O 0.8597 0.3708 0.9204
O 0.6387 0.5120 0.6459
O 0.7868 0.8309 0.1927
O 0.1808 0.4758 0.2548
O 0.5008 0.6240 0.8591
O 0.1882 0.0373 0.5890
Si 0.9549 0.6253 0.0860
Si 0.6289 0.9666 0.4195
Si 0.6705 0.6253 0.5860
Si 0.2924 0.9963 0.2527
Si 0.7039 0.9963 0.7527
Si 0.3377 0.9666 0.9195
Na 0.7063 0.0311 0.9118
Na 0.6670 0.3294 0.8293
Na 0.6624 0.3294 0.3293
Na 0.3217 0.2926 0.9145
Na 0.3755 0.0113 0.7485
Na 0.9709 0.2926 0.4145
Na 0.9754 0.6817 0.9169
Na 0.6573 0.6938 0.0805
Na 0.3383 0.6665 0.6627
Na 0.3008 0.9553 0.0800
Na 0.9954 0.9994 0.4958
Na 0.0364 0.6938 0.5805
Na 0.9900 0.6268 0.2448
Na 0.6368 0.6268 0.7448
Na 0.3248 0.0311 0.4118
Na 0.0040 0.9994 0.9958
Na 0.3077 0.3471 0.5829
Na 0.9857 0.3577 0.7497
Na 0.3719 0.3577 0.2497
Na 0.3282 0.6665 0.1627
Na 0.6545 0.9553 0.5800
Na 0.6359 0.0113 0.2485
Na 0.7063 0.6817 0.4169
Na 0.0395 0.3471 0.0829
P 0.0066 0.7100 0.7518
P 0.9581 0.3281 0.5848
P 0.3386 0.3801 0.4175
P 0.3685 0.0431 0.5850
P 0.6204 0.6594 0.9186
P 0.0071 0.2941 0.2512
P 0.2871 0.2941 0.7512
P 0.0390 0.6594 0.4186
P 0.0415 0.3801 0.9175
P 0.7034 0.7100 0.2518
P 0.6746 0.0431 0.0850
P 0.3699 0.3281 0.0848
Ge 0.6680 0.3323 0.4831
Ge 0.3429 0.6788 0.8163
Ge 0.0018 0.9906 0.1493
Ge 0.6643 0.3323 0.9831
Ge 0.3359 0.6788 0.3163
Ge 0.9889 0.9906 0.6493
Zn 0.3270 0.6711 0.0158
Zn 0.6636 0.3302 0.1824
Zn 0.0011 0.0013 0.3490
Zn 0.6666 0.3302 0.6824
Zn 0.0002 0.0013 0.8490
Zn 0.3441 0.6711 0.5158

RbScBP2HO9 | PBE | optimized geometry

Output
Its space-group type is P-1 (2). The energy of formation from the pure elements comes out at -43.1 eV/f.u. As for the MP2020-corrected energy: -7.723 eV per atom. As for the total energy: -7.311 eV per atom.

a b c (Å): 5.3982 8.5192 8.5195
angles (deg): 87.25 86.56 80.30
Positions (direct):
P 0.7885 0.8050 0.9379
P 0.8088 0.6947 0.4171
P 0.2115 0.1950 0.0621
P 0.1912 0.3053 0.5829
O 0.7474 0.6600 0.5963
O 0.9522 0.6680 0.8396
O 0.0276 0.7897 0.3958
O 0.1217 0.4686 0.6650
O 0.9724 0.2103 0.6042
O 0.0471 0.1641 0.9312
O 0.2846 0.5440 0.2011
O 0.0478 0.3320 0.1604
O 0.4356 0.2127 0.6450
O 0.7154 0.4560 0.7989
O 0.4604 0.2500 0.0017
O 0.5396 0.7500 0.9983
O 0.9529 0.8359 0.0688
O 0.8783 0.5314 0.3350
O 0.7302 0.9534 0.8251
O 0.2698 0.0466 0.1749
O 0.2526 0.3400 0.4037
O 0.5644 0.7873 0.3550
Sc 0.2794 0.8014 0.1920
Sc 0.7206 0.1986 0.8080
Rb 0.7212 0.1223 0.3265
Rb 0.2788 0.8777 0.6735
H 0.5845 0.5169 0.8661
H 0.4155 0.4831 0.1339
B 0.1158 0.4387 0.2755
B 0.8842 0.5613 0.7245

LiBeH4NF4 | PBE | optimized geometry

Output
Its space-group type is Pca2_1 (29). The energy of formation from the pure elements comes out at -22.9 eV/f.u. As for the MP2020-corrected energy: -5.282 eV per atom. As for the total energy: -5.114 eV per atom.

a b c (Å): 5.0864 9.0766 9.5717
angles (deg): 90.00 90.00 90.00
Positions (direct):
H 0.6001 0.4112 0.6641
H 0.5736 0.5963 0.6492
H 0.3999 0.4112 0.1641
H 0.6672 0.9985 0.2682
H 0.6672 0.4985 0.2318
H 0.6335 0.5221 0.8050
H 0.4264 0.5963 0.1492
H 0.3665 0.5221 0.3050
H 0.6001 0.9112 0.8359
H 0.3328 0.9985 0.7682
H 0.3328 0.4985 0.7318
H 0.3665 0.0221 0.1950
H 0.6335 0.0221 0.6950
H 0.4264 0.0963 0.3508
H 0.5736 0.0963 0.8508
H 0.3999 0.9112 0.3359
F 0.7699 0.2127 0.9651
F 0.0122 0.0270 0.1223
F 0.7956 0.2816 0.5682
F 0.2044 0.7816 0.4318
F 0.9878 0.5270 0.8777
F 0.7956 0.7816 0.9318
F 0.7699 0.7127 0.5349
F 0.1936 0.2553 0.7316
F 0.0122 0.5270 0.3777
F 0.2301 0.7127 0.0349
F 0.2301 0.2127 0.4651
F 0.8064 0.7553 0.2684
F 0.2044 0.2816 0.0682
F 0.8064 0.2553 0.2316
F 0.9878 0.0270 0.6223
F 0.1936 0.7553 0.7684
Be 0.9441 0.6933 0.4001
Be 0.0559 0.1933 0.5999
Be 0.0559 0.6933 0.9001
Be 0.9441 0.1933 0.0999
N 0.5314 0.5069 0.7129
N 0.5314 0.0069 0.7871
N 0.4686 0.0069 0.2871
N 0.4686 0.5069 0.2129
Li 0.9527 0.8291 0.1080
Li 0.9527 0.3291 0.3920
Li 0.0473 0.3291 0.8920
Li 0.0473 0.8291 0.6080

BaSrTbHfO6 | PBE | optimized geometry

Output
Its space-group type is P222 (16). The energy of formation from the pure elements comes out at -34.6 eV/f.u. As for the relative energy among the computed polymorphs: 0.00 kcal/mol of atoms. As for the MP2020-corrected energy: -8.247 eV per atom. As for the total energy: -7.835 eV per atom.

a b c (Å): 8.5604 8.5672 8.5554
angles (deg): 90.00 90.00 90.00
Positions (direct):
Sr 0.0000 0.5000 0.5000
Sr 0.5000 0.5000 0.0000
Sr 0.5000 0.0000 0.5000
Sr 0.0000 0.5000 0.0000
Ba 0.5000 0.0000 0.0000
Ba 0.5000 0.5000 0.5000
Ba 0.0000 0.0000 0.5000
Ba 0.0000 0.0000 0.0000
O 0.4890 0.7102 0.2137
O 0.7841 0.7163 0.9891
O 0.4890 0.2898 0.7863
O 0.2145 0.4899 0.7080
O 0.7855 0.5101 0.7080
O 0.5110 0.2898 0.2137
O 0.2735 0.9887 0.2241
O 0.2159 0.2837 0.9891
O 0.7855 0.4899 0.2920
O 0.2906 0.7815 0.4888
O 0.7094 0.7815 0.5112
O 0.7094 0.2185 0.4888
O 0.2735 0.0113 0.7759
O 0.7265 0.0113 0.2241
O 0.0107 0.2248 0.7233
O 0.9893 0.2248 0.2767
O 0.5110 0.7102 0.7863
O 0.0107 0.7752 0.2767
O 0.7265 0.9887 0.7759
O 0.7841 0.2837 0.0109
O 0.2159 0.7163 0.0109
O 0.9893 0.7752 0.7233
O 0.2906 0.2185 0.5112
O 0.2145 0.5101 0.2920
Tb 0.2521 0.7468 0.7494
Tb 0.7479 0.2532 0.7494
Tb 0.7479 0.7468 0.2506
Tb 0.2521 0.2532 0.2506
Hf 0.2516 0.7460 0.2502
Hf 0.7484 0.7460 0.7498
Hf 0.7484 0.2540 0.2502
Hf 0.2516 0.2540 0.7498

SrIn3Au | PBE | optimized geometry

Output
Its space-group type is I4mm (107). The energy of formation from the pure elements comes out at -2.1 eV/f.u. As for the total energy: -3.063 eV per atom.

a b c (Å): 7.2600 7.2600 7.2600
angles (deg): 143.21 143.21 53.01
Positions (direct):
Au 0.5952 0.5952 0.0000
In 0.2312 0.7312 0.5000
In 0.3854 0.3854 0.0000
In 0.7312 0.2312 0.5000
Sr 0.9987 0.9987 0.0000

Nb3Se12I | PBE | optimized geometry

Output
Its space-group type is P4/mnc (128). The energy of formation from the pure elements comes out at -9.3 eV/f.u. As for the MP2020-corrected energy: -5.194 eV per atom. As for the total energy: -5.171 eV per atom.

a b c (Å): 9.8014 9.8014 19.4216
angles (deg): 90.00 90.00 90.00
Positions (direct):
Se 0.8763 0.6821 0.1606
Se 0.0471 0.7101 0.6716
Se 0.3948 0.1950 0.5000
Se 0.8763 0.6821 0.8394
Se 0.7899 0.4529 0.1716
Se 0.7187 0.0179 0.5000
Se 0.6237 0.1821 0.3394
Se 0.1052 0.6950 0.0000
Se 0.4529 0.2101 0.8284
Se 0.6052 0.8050 0.5000
Se 0.7101 0.9529 0.3284
Se 0.8050 0.3948 0.5000
Se 0.0179 0.2813 0.5000
Se 0.6821 0.1237 0.1606
Se 0.2101 0.5471 0.1716
Se 0.3179 0.8763 0.1606
Se 0.1950 0.6052 0.5000
Se 0.9529 0.2899 0.6716
Se 0.2899 0.0471 0.3284
Se 0.1821 0.3763 0.3394
Se 0.9529 0.2899 0.3284
Se 0.8948 0.3050 0.0000
Se 0.5471 0.7899 0.1716
Se 0.5471 0.7899 0.8284
Se 0.3763 0.8179 0.3394
Se 0.8179 0.6237 0.6606
Se 0.2813 0.9821 0.5000
Se 0.8179 0.6237 0.3394
Se 0.1237 0.3179 0.1606
Se 0.4529 0.2101 0.1716
Se 0.6950 0.8948 0.0000
Se 0.5179 0.2187 0.0000
Se 0.4821 0.7813 0.0000
Se 0.3763 0.8179 0.6606
Se 0.9821 0.7187 0.5000
Se 0.1237 0.3179 0.8394
Se 0.1821 0.3763 0.6606
Se 0.2101 0.5471 0.8284
Se 0.3179 0.8763 0.8394
Se 0.0471 0.7101 0.3284
Se 0.2899 0.0471 0.6716
Se 0.7813 0.5179 0.0000
Se 0.6237 0.1821 0.6606
Se 0.7101 0.9529 0.6716
Se 0.6821 0.1237 0.8394
Se 0.2187 0.4821 0.0000
Se 0.3050 0.1052 0.0000
Se 0.7899 0.4529 0.8284
I 0.5000 0.5000 0.6312
I 0.5000 0.5000 0.3688
I 0.0000 0.0000 0.8688
I 0.0000 0.0000 0.1312
Nb 0.0000 0.5000 0.4194
Nb 0.5000 0.0000 0.9194
Nb 0.0000 0.5000 0.2500
Nb 0.0000 0.5000 0.5806
Nb 0.5000 0.0000 0.2500
Nb 0.0000 0.5000 0.9194
Nb 0.0000 0.5000 0.0806
Nb 0.5000 0.0000 0.5806
Nb 0.5000 0.0000 0.0806
Nb 0.0000 0.5000 0.7500
Nb 0.5000 0.0000 0.7500
Nb 0.5000 0.0000 0.4194

CeCuGe2 | PBE | optimized geometry

Output
Its space-group type is Cmcm (63). The energy of formation from the pure elements comes out at -2.2 eV/f.u. As for the total energy: -5.357 eV per atom.

a b c (Å): 8.7848 8.7848 4.2668
angles (deg): 90.00 90.00 151.69
Positions (direct):
Ce 0.8957 0.1043 0.7500
Ce 0.1043 0.8957 0.2500
Cu 0.6771 0.3229 0.7500
Cu 0.3229 0.6771 0.2500
Ge 0.2487 0.7513 0.7500
Ge 0.4614 0.5386 0.2500
Ge 0.7513 0.2487 0.2500
Ge 0.5386 0.4614 0.7500